Entry 1:
Compound: CdC8N6
Source: the Materials Project
Functional: GGA-PBE
Structure: optimized geometry

Unit cell a=7.903 b=5.561 c=10.965 alpha=90.00 beta=90.00 gamma=90.00
Element x y z (fractional)
Cd (0.000, 0.000, 0.000)
Cd (0.500, 0.000, 0.500)
C (0.000, 0.399, 0.255)
C (0.000, 0.413, 0.660)
C (0.000, 0.587, 0.340)
C (0.000, 0.601, 0.745)
C (0.152, 0.312, 0.618)
C (0.152, 0.688, 0.382)
C (0.348, 0.312, 0.882)
C (0.348, 0.688, 0.118)
C (0.500, 0.399, 0.245)
C (0.500, 0.413, 0.840)
C (0.500, 0.587, 0.160)
C (0.500, 0.601, 0.755)
C (0.652, 0.312, 0.882)
C (0.652, 0.688, 0.118)
C (0.848, 0.312, 0.618)
C (0.848, 0.688, 0.382)
N (0.000, 0.242, 0.183)
N (0.000, 0.758, 0.817)
N (0.223, 0.227, 0.918)
N (0.223, 0.773, 0.082)
N (0.277, 0.227, 0.582)
N (0.277, 0.773, 0.418)
N (0.500, 0.242, 0.317)
N (0.500, 0.758, 0.683)
N (0.723, 0.227, 0.582)
N (0.723, 0.773, 0.418)
N (0.777, 0.227, 0.918)
N (0.777, 0.773, 0.082)

Corrected total energy (MP2020 scheme): -8.05 eV per atom
Symmetry: No. 53
ΔH_f (0 K): 0.271 eV/atom
Magnetic moment: 0.000 μB per atom

=====

Entry 2:
Compound: CdC60N12
Source: the Materials Project
Functional: GGA-PBE
Structure: optimized geometry

Unit cell a=10.040 b=10.357 c=10.691 alpha=77.46 beta=79.87 gamma=79.32
Element x y z (fractional)
Cd (0.000, 0.000, 0.000)
C (0.139, 0.540, 0.584)
C (0.152, 0.606, 0.454)
C (0.176, 0.396, 0.616)
C (0.179, 0.598, 0.681)
C (0.202, 0.530, 0.351)
C (0.206, 0.732, 0.417)
C (0.225, 0.323, 0.517)
C (0.232, 0.718, 0.646)
C (0.238, 0.391, 0.382)
C (0.239, 0.364, 0.733)
C (0.241, 0.489, 0.773)
C (0.245, 0.787, 0.511)
C (0.288, 0.609, 0.251)
C (0.290, 0.734, 0.292)
C (0.339, 0.215, 0.532)
C (0.348, 0.735, 0.701)
C (0.349, 0.260, 0.747)
C (0.354, 0.505, 0.826)
C (0.361, 0.325, 0.314)
C (0.370, 0.845, 0.484)
C (0.400, 0.184, 0.645)
C (0.407, 0.545, 0.186)
C (0.408, 0.630, 0.790)
C (0.411, 0.790, 0.265)
C (0.423, 0.216, 0.406)
C (0.434, 0.813, 0.601)
C (0.444, 0.400, 0.218)
C (0.452, 0.846, 0.363)
C (0.466, 0.277, 0.802)
C (0.468, 0.397, 0.841)
C (0.532, 0.603, 0.159)
C (0.534, 0.723, 0.198)
C (0.548, 0.154, 0.637)
C (0.556, 0.600, 0.782)
C (0.566, 0.187, 0.399)
C (0.577, 0.784, 0.594)
C (0.589, 0.210, 0.735)
C (0.592, 0.370, 0.210)
C (0.593, 0.455, 0.814)
C (0.600, 0.816, 0.355)
C (0.630, 0.155, 0.516)
C (0.639, 0.675, 0.686)
C (0.646, 0.495, 0.174)
C (0.651, 0.740, 0.253)
C (0.652, 0.265, 0.299)
C (0.661, 0.785, 0.468)
C (0.710, 0.266, 0.708)
C (0.712, 0.391, 0.749)
C (0.755, 0.213, 0.489)
C (0.759, 0.511, 0.227)
C (0.761, 0.636, 0.267)
C (0.762, 0.609, 0.618)
C (0.768, 0.282, 0.354)
C (0.775, 0.677, 0.483)
C (0.794, 0.268, 0.583)
C (0.798, 0.470, 0.649)
C (0.821, 0.402, 0.319)
C (0.824, 0.604, 0.384)
C (0.848, 0.394, 0.546)
C (0.861, 0.460, 0.416)
N (0.073, 0.053, 0.792)
N (0.099, 0.795, 0.994)
N (0.100, 0.094, 0.353)
N (0.116, 0.371, 0.090)
N (0.184, 0.047, 0.044)
N (0.456, 0.907, 0.904)
N (0.544, 0.093, 0.096)
N (0.816, 0.953, 0.956)
N (0.884, 0.629, 0.910)
N (0.900, 0.906, 0.647)
N (0.901, 0.205, 0.006)
N (0.927, 0.947, 0.208)

Corrected total energy (MP2020 scheme): -7.89 eV per atom
Symmetry: No. 2
ΔH_f (0 K): 1.081 eV/atom
Magnetic moment: 0.329 μB per atom

=====

Entry 3:
Compound: CdC8N6
Source: the Materials Project
Functional: GGA-PBE
Structure: optimized geometry

Unit cell a=13.242 b=13.242 c=5.743 alpha=90.00 beta=90.00 gamma=120.00
Element x y z (fractional)
Cd (0.000, 0.000, 0.000)
Cd (0.333, 0.667, 0.677)
Cd (0.667, 0.333, 0.677)
C (0.000, 0.223, 0.660)
C (0.000, 0.317, 0.547)
C (0.000, 0.662, 0.034)
C (0.000, 0.760, 0.123)
C (0.104, 0.665, 0.973)
C (0.106, 0.419, 0.502)
C (0.223, 0.000, 0.660)
C (0.240, 0.240, 0.123)
C (0.313, 0.894, 0.502)
C (0.317, 0.000, 0.547)
C (0.335, 0.439, 0.973)
C (0.338, 0.338, 0.034)
C (0.419, 0.106, 0.502)
C (0.439, 0.335, 0.973)
C (0.561, 0.896, 0.973)
C (0.581, 0.687, 0.502)
C (0.662, 0.000, 0.034)
C (0.665, 0.104, 0.973)
C (0.683, 0.683, 0.547)
C (0.687, 0.581, 0.502)
C (0.760, 0.000, 0.123)
C (0.777, 0.777, 0.660)
C (0.894, 0.313, 0.502)
C (0.896, 0.561, 0.973)
N (0.000, 0.145, 0.759)
N (0.000, 0.843, 0.196)
N (0.145, 0.000, 0.759)
N (0.157, 0.157, 0.196)
N (0.188, 0.662, 0.917)
N (0.194, 0.505, 0.466)
N (0.311, 0.806, 0.466)
N (0.338, 0.525, 0.917)
N (0.475, 0.812, 0.917)
N (0.495, 0.689, 0.466)
N (0.505, 0.194, 0.466)
N (0.525, 0.338, 0.917)
N (0.662, 0.188, 0.917)
N (0.689, 0.495, 0.466)
N (0.806, 0.311, 0.466)
N (0.812, 0.475, 0.917)
N (0.843, 0.000, 0.196)
N (0.855, 0.855, 0.759)

Corrected total energy (MP2020 scheme): -8.05 eV per atom
Symmetry: No. 157
ΔH_f (0 K): 0.272 eV/atom
Magnetic moment: 0.000 μB per atom

=====

Entry 4:
Compound: CdC2N2
Source: the Materials Project
Functional: GGA-PBE
Structure: optimized geometry

Unit cell a=6.463 b=6.463 c=6.463 alpha=90.00 beta=90.00 gamma=90.00
Element x y z (fractional)
Cd (0.000, 0.000, 0.000)
Cd (0.500, 0.500, 0.500)
C (0.200, 0.200, 0.200)
C (0.200, 0.800, 0.800)
C (0.800, 0.200, 0.800)
C (0.800, 0.800, 0.200)
N (0.304, 0.304, 0.304)
N (0.304, 0.696, 0.696)
N (0.696, 0.304, 0.696)
N (0.696, 0.696, 0.304)

Corrected total energy (MP2020 scheme): -7.00 eV per atom
Symmetry: No. 215
ΔH_f (0 K): 0.215 eV/atom
Magnetic moment: 0.000 μB per atom
Relative energy among the computed polymorphs: 7 meV/atom

=====

Entry 5:
Compound: CdC2N2
Source: the Materials Project
Functional: GGA-PBE
Structure: optimized geometry

Unit cell a=6.483 b=6.483 c=6.430 alpha=90.00 beta=90.00 gamma=90.00
Element x y z (fractional)
Cd (0.000, 0.000, 0.000)
Cd (0.500, 0.500, 0.500)
C (0.204, 0.204, 0.182)
C (0.296, 0.704, 0.682)
C (0.704, 0.296, 0.682)
C (0.796, 0.796, 0.182)
N (0.192, 0.808, 0.786)
N (0.308, 0.308, 0.286)
N (0.692, 0.692, 0.286)
N (0.808, 0.192, 0.786)

Corrected total energy (MP2020 scheme): -7.00 eV per atom
Symmetry: No. 102
ΔH_f (0 K): 0.208 eV/atom
Magnetic moment: 0.000 μB per atom
Relative energy among the computed polymorphs: 0 meV/atom

=====

Entry 6:
Compound: CdC2N4O4
Source: the Materials Project
Functional: GGA-PBE
Structure: optimized geometry

Unit cell a=6.853 b=11.061 c=8.102 alpha=90.00 beta=90.00 gamma=90.00
Element x y z (fractional)
Cd (0.000, 0.000, 0.082)
Cd (0.500, 0.500, 0.918)
C (0.229, 0.817, 0.805)
C (0.271, 0.317, 0.195)
C (0.729, 0.683, 0.195)
C (0.771, 0.183, 0.805)
N (0.163, 0.747, 0.401)
N (0.246, 0.811, 0.320)
N (0.254, 0.311, 0.680)
N (0.337, 0.247, 0.599)
N (0.663, 0.753, 0.599)
N (0.746, 0.689, 0.680)
N (0.754, 0.189, 0.320)
N (0.837, 0.253, 0.401)
O (0.177, 0.727, 0.866)
O (0.218, 0.407, 0.260)
O (0.282, 0.907, 0.740)
O (0.323, 0.227, 0.134)
O (0.677, 0.773, 0.134)
O (0.718, 0.093, 0.740)
O (0.782, 0.593, 0.260)
O (0.823, 0.273, 0.866)

Corrected total energy (MP2020 scheme): -7.46 eV per atom
Symmetry: No. 18
ΔH_f (0 K): -0.869 eV/atom
Magnetic moment: 0.000 μB per atom

=====

Entry 7:
Compound: CdC3NO6
Source: the Materials Project
Functional: GGA-PBE
Structure: optimized geometry

Unit cell a=8.719 b=11.205 c=12.904 alpha=90.00 beta=90.00 gamma=90.00
Element x y z (fractional)
Cd (0.108, 0.002, 0.000)
Cd (0.392, 0.502, 0.500)
Cd (0.608, 0.498, 0.000)
Cd (0.892, 0.998, 0.500)
C (0.091, 0.684, 0.578)
C (0.189, 0.049, 0.744)
C (0.223, 0.182, 0.459)
C (0.277, 0.682, 0.959)
C (0.311, 0.549, 0.244)
C (0.409, 0.184, 0.078)
C (0.591, 0.816, 0.578)
C (0.689, 0.451, 0.744)
C (0.723, 0.318, 0.459)
C (0.777, 0.818, 0.959)
C (0.811, 0.951, 0.244)
C (0.909, 0.316, 0.078)
N (0.170, 0.342, 0.796)
N (0.330, 0.842, 0.296)
N (0.670, 0.158, 0.796)
N (0.830, 0.658, 0.296)
O (0.056, 0.056, 0.726)
O (0.067, 0.621, 0.648)
O (0.114, 0.749, 0.507)
O (0.179, 0.542, 0.261)
O (0.199, 0.239, 0.533)
O (0.249, 0.125, 0.384)
O (0.251, 0.625, 0.884)
O (0.301, 0.739, 0.033)
O (0.321, 0.042, 0.761)
O (0.386, 0.249, 0.007)
O (0.433, 0.121, 0.148)
O (0.444, 0.556, 0.226)
O (0.556, 0.444, 0.726)
O (0.567, 0.879, 0.648)
O (0.614, 0.751, 0.507)
O (0.679, 0.958, 0.261)
O (0.699, 0.261, 0.533)
O (0.749, 0.375, 0.384)
O (0.751, 0.875, 0.884)
O (0.801, 0.761, 0.033)
O (0.821, 0.458, 0.761)
O (0.886, 0.251, 0.007)
O (0.933, 0.379, 0.148)
O (0.944, 0.944, 0.226)

Corrected total energy (MP2020 scheme): -6.94 eV per atom
Symmetry: No. 33
ΔH_f (0 K): -0.880 eV/atom
Magnetic moment: 0.273 μB per atom

=====

Entry 8:
Compound: CdRe2C6N12O14
Source: the Materials Project
Functional: GGA-PBE
Structure: optimized geometry

Unit cell a=10.690 b=8.167 c=18.554 alpha=90.00 beta=122.73 gamma=90.00
Element x y z (fractional)
Cd (0.000, 0.000, 0.000)
Cd (0.000, 0.500, 0.500)
Re (0.418, 0.142, 0.341)
Re (0.418, 0.358, 0.841)
Re (0.582, 0.642, 0.159)
Re (0.582, 0.858, 0.659)
C (0.033, 0.645, 0.346)
C (0.033, 0.855, 0.846)
C (0.136, 0.656, 0.102)
C (0.136, 0.844, 0.602)
C (0.310, 0.136, 0.049)
C (0.310, 0.364, 0.549)
C (0.690, 0.636, 0.451)
C (0.690, 0.864, 0.951)
C (0.864, 0.156, 0.398)
C (0.864, 0.344, 0.898)
C (0.967, 0.145, 0.154)
C (0.967, 0.355, 0.654)
N (0.045, 0.726, 0.284)
N (0.045, 0.774, 0.784)
N (0.158, 0.735, 0.366)
N (0.158, 0.765, 0.866)
N (0.184, 0.515, 0.148)
N (0.184, 0.985, 0.648)
N (0.255, 0.655, 0.187)
N (0.255, 0.845, 0.687)
N (0.307, 0.219, 0.509)
N (0.307, 0.281, 0.009)
N (0.437, 0.206, 0.061)
N (0.437, 0.294, 0.561)
N (0.563, 0.706, 0.439)
N (0.563, 0.794, 0.939)
N (0.693, 0.719, 0.991)
N (0.693, 0.781, 0.491)
N (0.745, 0.155, 0.313)
N (0.745, 0.345, 0.813)
N (0.816, 0.015, 0.352)
N (0.816, 0.485, 0.852)
N (0.842, 0.235, 0.134)
N (0.842, 0.265, 0.634)
N (0.955, 0.226, 0.216)
N (0.955, 0.274, 0.716)
O (0.034, 0.059, 0.134)
O (0.034, 0.441, 0.634)
O (0.044, 0.724, 0.035)
O (0.044, 0.776, 0.535)
O (0.248, 0.026, 0.062)
O (0.248, 0.474, 0.562)
O (0.279, 0.007, 0.328)
O (0.279, 0.493, 0.828)
O (0.344, 0.159, 0.815)
O (0.344, 0.341, 0.315)
O (0.429, 0.638, 0.053)
O (0.429, 0.862, 0.553)
O (0.478, 0.079, 0.273)
O (0.478, 0.421, 0.773)
O (0.522, 0.579, 0.227)
O (0.522, 0.921, 0.727)
O (0.571, 0.138, 0.447)
O (0.571, 0.362, 0.947)
O (0.656, 0.659, 0.685)
O (0.656, 0.841, 0.185)
O (0.721, 0.507, 0.172)
O (0.721, 0.993, 0.672)
O (0.752, 0.526, 0.438)
O (0.752, 0.974, 0.938)
O (0.956, 0.224, 0.465)
O (0.956, 0.276, 0.965)
O (0.966, 0.559, 0.366)
O (0.966, 0.941, 0.866)

Corrected total energy (MP2020 scheme): -7.49 eV per atom
Symmetry: No. 14
ΔH_f (0 K): -0.329 eV/atom
Magnetic moment: 0.000 μB per atom

=====

Entry 9:
Compound: CdRe2C4S4N8O8
Source: the Materials Project
Functional: GGA-PBE
Structure: optimized geometry

Unit cell a=7.141 b=14.006 c=13.065 alpha=90.00 beta=112.11 gamma=90.00
Element x y z (fractional)
Cd (0.000, 0.000, 0.000)
Cd (0.000, 0.500, 0.500)
Re (0.404, 0.025, 0.288)
Re (0.404, 0.475, 0.788)
Re (0.596, 0.525, 0.212)
Re (0.596, 0.975, 0.712)
C (0.118, 0.239, 0.537)
C (0.118, 0.261, 0.037)
C (0.440, 0.633, 0.491)
C (0.440, 0.867, 0.991)
C (0.560, 0.133, 0.009)
C (0.560, 0.367, 0.509)
C (0.882, 0.739, 0.963)
C (0.882, 0.761, 0.463)
S (0.009, 0.161, 0.864)
S (0.009, 0.339, 0.364)
S (0.153, 0.600, 0.288)
S (0.153, 0.900, 0.788)
S (0.847, 0.100, 0.212)
S (0.847, 0.400, 0.712)
S (0.991, 0.661, 0.636)
S (0.991, 0.839, 0.136)
N (0.037, 0.241, 0.429)
N (0.037, 0.259, 0.929)
N (0.197, 0.232, 0.634)
N (0.197, 0.268, 0.134)
N (0.268, 0.615, 0.415)
N (0.268, 0.885, 0.915)
N (0.411, 0.150, 0.931)
N (0.411, 0.350, 0.431)
N (0.589, 0.650, 0.569)
N (0.589, 0.850, 0.069)
N (0.732, 0.115, 0.085)
N (0.732, 0.385, 0.585)
N (0.803, 0.732, 0.866)
N (0.803, 0.768, 0.366)
N (0.963, 0.741, 0.071)
N (0.963, 0.759, 0.571)
O (0.247, 0.524, 0.849)
O (0.247, 0.976, 0.349)
O (0.274, 0.027, 0.139)
O (0.274, 0.473, 0.639)
O (0.378, 0.043, 0.679)
O (0.378, 0.457, 0.179)
O (0.473, 0.140, 0.339)
O (0.473, 0.360, 0.839)
O (0.527, 0.640, 0.161)
O (0.527, 0.860, 0.661)
O (0.622, 0.543, 0.821)
O (0.622, 0.957, 0.321)
O (0.726, 0.527, 0.361)
O (0.726, 0.973, 0.861)
O (0.753, 0.024, 0.651)
O (0.753, 0.476, 0.151)

Corrected total energy (MP2020 scheme): -7.13 eV per atom
Symmetry: No. 14
ΔH_f (0 K): -0.256 eV/atom
Magnetic moment: 0.148 μB per atom